The following is a DFT calculation (GGA+U) of a relaxed structure of Cs2TlCoF6.

## Properties
Electronic total energy   -4.34 eV per atom
ΔH_f (0 K)   -242 kJ per mole of atoms
Crystal system   cubic

Cell lengths 6.4931, 6.4931, 6.4931 Å; angles 60.00, 60.00, 60.00 degrees
Positions (direct):
Cs1 0.2500 0.2500 0.2500
Cs2 0.7500 0.7500 0.7500
Tl1 0.0000 0.0000 0.0000
Co1 0.5000 0.5000 0.5000
F1 0.2939 0.2939 0.7061
F2 0.2939 0.7061 0.2939
F3 0.2939 0.7061 0.7061
F4 0.7061 0.2939 0.2939
F5 0.7061 0.2939 0.7061
F6 0.7061 0.7061 0.2939



The following is a DFT calculation (GGA+U) of a relaxed structure of MnH4S2O10.

## Properties
Electronic total energy   -5.82 eV per atom
ΔH_f (0 K)   -153 kJ per mole of atoms
Crystal system   monoclinic

Cell lengths 5.8043, 12.9862, 5.1506 Å; angles 90.00, 103.38, 90.00 degrees
Positions (direct):
Mn1 0.0000 0.0000 0.0000
Mn2 0.0000 0.5000 0.5000
H1 0.0838 0.1965 0.0021
H2 0.0838 0.3035 0.5021
H3 0.3174 0.1395 0.1816
H4 0.3174 0.3605 0.6816
H5 0.6826 0.6395 0.3184
H6 0.6826 0.8605 0.8184
H7 0.9162 0.6965 0.4979
H8 0.9162 0.8035 0.9979
S1 0.2187 0.6180 0.0643
S2 0.2187 0.8820 0.5643
S3 0.7813 0.1180 0.4357
S4 0.7813 0.3820 0.9357
O1 0.0076 0.6821 0.0067
O2 0.0076 0.8179 0.5067
O3 0.1746 0.1301 0.0275
O4 0.1746 0.3699 0.5275
O5 0.2109 0.5398 0.8403
O6 0.2109 0.9602 0.3403
O7 0.2364 0.5558 0.3197
O8 0.2364 0.9442 0.8197
O9 0.4434 0.6731 0.1016
O10 0.4434 0.8269 0.6016
O11 0.5566 0.1731 0.3984
O12 0.5566 0.3269 0.8984
O13 0.7636 0.0558 0.1803
O14 0.7636 0.4442 0.6803
O15 0.7891 0.0398 0.6597
O16 0.7891 0.4602 0.1597
O17 0.8254 0.6301 0.4725
O18 0.8254 0.8699 0.9725
O19 0.9924 0.1821 0.4933
O20 0.9924 0.3179 0.9933



The following is a DFT calculation (GGA+U) of a relaxed structure of Sr2LiFeO3F.

## Properties
Electronic total energy   -5.52 eV per atom
ΔH_f (0 K)   -222 kJ per mole of atoms
Crystal system   tetragonal

Cell lengths 8.4870, 8.4870, 8.4870 Å; angles 154.35, 154.35, 36.59 degrees
Positions (direct):
Sr1 0.0000 0.0000 0.0000
Sr2 0.3181 0.3181 0.0000
Li1 0.1482 0.1482 0.0000
Fe1 0.6678 0.6678 0.0000
O1 0.1209 0.6209 0.5000
O2 0.6209 0.1209 0.5000
O3 0.8288 0.8288 0.0000
F1 0.4642 0.4642 0.0000



The following is a DFT calculation (GGA+U) of a relaxed structure of Mn2Ni3P6WO24.

## Properties
Electronic total energy   -6.92 eV per atom
ΔH_f (0 K)   -218 kJ per mole of atoms
Crystal system   trigonal

Cell lengths 8.6533, 8.6533, 8.6533 Å; angles 60.53, 60.53, 60.53 degrees
Positions (direct):
Mn1 0.0000 0.0000 0.0000
Mn2 0.4922 0.4922 0.4922
Ni1 0.1368 0.1368 0.1368
Ni2 0.3488 0.3488 0.3488
Ni3 0.6345 0.6345 0.6345
P1 0.0376 0.4438 0.7359
P2 0.2477 0.9465 0.5280
P3 0.4438 0.7359 0.0376
P4 0.5280 0.2477 0.9465
P5 0.7359 0.0376 0.4438
P6 0.9465 0.5280 0.2477
W1 0.8488 0.8488 0.8488
O1 0.0537 0.2564 0.8998
O2 0.0788 0.9177 0.7324
O3 0.1026 0.5093 0.2948
O4 0.1786 0.9803 0.3807
O5 0.2294 0.4491 0.5808
O6 0.2564 0.8998 0.0537
O7 0.2948 0.1026 0.5093
O8 0.3807 0.1786 0.9803
O9 0.4010 0.7485 0.5528
O10 0.4491 0.5808 0.2294
O11 0.4858 0.6704 0.8849
O12 0.5093 0.2948 0.1026
O13 0.5528 0.4010 0.7485
O14 0.5808 0.2294 0.4491
O15 0.6115 0.8098 0.9781
O16 0.6704 0.8849 0.4858
O17 0.7324 0.0788 0.9177
O18 0.7485 0.5528 0.4010
O19 0.8098 0.9781 0.6115
O20 0.8849 0.4858 0.6704
O21 0.8998 0.0537 0.2564
O22 0.9177 0.7324 0.0788
O23 0.9781 0.6115 0.8098
O24 0.9803 0.3807 0.1786



The following is a DFT calculation (GGA+U) of a relaxed structure of Li2MnPCO7.

## Properties
Electronic total energy   -6.97 eV per atom
ΔH_f (0 K)   -224 kJ per mole of atoms
Crystal system   monoclinic

Cell lengths 8.4680, 6.4451, 10.0358 Å; angles 90.00, 93.57, 90.00 degrees
Positions (direct):
Li1 0.0000 0.0060 0.0000
Li2 0.0000 0.9940 0.5000
Li3 0.1609 0.2134 0.2609
Li4 0.1609 0.7866 0.7609
Li5 0.6256 0.2867 0.0180
Li6 0.6256 0.7133 0.5180
Li7 0.6295 0.2861 0.5158
Li8 0.6295 0.7139 0.0158
Mn1 0.2142 0.4989 0.9839
Mn2 0.2142 0.5011 0.4839
Mn3 0.5557 0.0043 0.7929
Mn4 0.5557 0.9957 0.2929
P1 0.3080 0.0032 0.0305
P2 0.3080 0.9968 0.5305
P3 0.4747 0.4930 0.2560
P4 0.4747 0.5070 0.7560
C1 0.8466 0.0080 0.2441
C2 0.8466 0.9920 0.7441
C3 0.9319 0.4989 0.5262
C4 0.9319 0.5011 0.0262
O1 0.0538 0.4838 0.1165
O2 0.0538 0.5162 0.6165
O3 0.2042 0.1820 0.4798
O4 0.2042 0.8180 0.9798
O5 0.2058 0.1888 0.9820
O6 0.2058 0.8112 0.4820
O7 0.3075 0.4750 0.3100
O8 0.3075 0.5250 0.8100
O9 0.3380 0.0107 0.1830
O10 0.3380 0.9893 0.6830
O11 0.4565 0.4986 0.1010
O12 0.4565 0.5014 0.6010
O13 0.4750 0.0015 0.4716
O14 0.4750 0.9985 0.9716
O15 0.5635 0.3126 0.8135
O16 0.5635 0.6874 0.3135
O17 0.5772 0.3052 0.3076
O18 0.5772 0.6948 0.8076
O19 0.7165 0.0073 0.6602
O20 0.7165 0.9927 0.1602
O21 0.7907 0.4969 0.0615
O22 0.7907 0.5031 0.5615
O23 0.8215 0.0008 0.8692
O24 0.8215 0.9992 0.3692
O25 0.9727 0.4781 0.4057
O26 0.9727 0.5219 0.9057
O27 0.9793 0.0315 0.1953
O28 0.9793 0.9685 0.6953



The following is a DFT calculation (GGA+U) of a relaxed structure of Na3MoH6C6O12.

## Properties
Electronic total energy   -6.40 eV per atom
ΔH_f (0 K)   -140 kJ per mole of atoms
Crystal system   orthorhombic

Cell lengths 6.5240, 14.8295, 14.1802 Å; angles 90.00, 90.00, 90.00 degrees
Positions (direct):
Na1 0.2270 0.0004 0.2206
Na2 0.2270 0.4996 0.7206
Na3 0.2500 0.2500 0.0766
Na4 0.2500 0.2500 0.5766
Na5 0.2730 0.0004 0.7206
Na6 0.2730 0.4996 0.2206
Na7 0.7270 0.9996 0.2794
Na8 0.7270 0.5004 0.7794
Na9 0.7500 0.7500 0.4234
Na10 0.7500 0.7500 0.9234
Na11 0.7730 0.9996 0.7794
Na12 0.7730 0.5004 0.2794
Mo1 0.2500 0.7500 0.0636
Mo2 0.2500 0.7500 0.5636
Mo3 0.7500 0.2500 0.4364
Mo4 0.7500 0.2500 0.9364
H1 0.0014 0.2260 0.2547
H2 0.0014 0.2740 0.7547
H3 0.1758 0.5869 0.9260
H4 0.1758 0.9131 0.4260
H5 0.2296 0.0912 0.9297
H6 0.2296 0.4088 0.4297
H7 0.2704 0.0912 0.4297
H8 0.2704 0.4088 0.9297
H9 0.3242 0.5869 0.4260
H10 0.3242 0.9131 0.9260
H11 0.4986 0.2260 0.7547
H12 0.4986 0.2740 0.2547
H13 0.5014 0.7260 0.7453
H14 0.5014 0.7740 0.2453
H15 0.6758 0.0869 0.0740
H16 0.6758 0.4131 0.5740
H17 0.7296 0.5912 0.0703
H18 0.7296 0.9088 0.5703
H19 0.7704 0.5912 0.5703
H20 0.7704 0.9088 0.0703
H21 0.8242 0.0869 0.5740
H22 0.8242 0.4131 0.0740
H23 0.9986 0.7260 0.2453
H24 0.9986 0.7740 0.7453
C1 0.0015 0.1994 0.7615
C2 0.0015 0.3006 0.2615
C3 0.1088 0.1059 0.4108
C4 0.1088 0.3941 0.9108
C5 0.1616 0.6038 0.4121
C6 0.1616 0.8962 0.9121
C7 0.3384 0.6038 0.9121
C8 0.3384 0.8962 0.4121
C9 0.3912 0.1059 0.9108
C10 0.3912 0.3941 0.4108
C11 0.4985 0.1994 0.2615
C12 0.4985 0.3006 0.7615
C13 0.5015 0.6994 0.2385
C14 0.5015 0.8006 0.7385
C15 0.6088 0.6059 0.5892
C16 0.6088 0.8941 0.0892
C17 0.6616 0.1038 0.5879
C18 0.6616 0.3962 0.0879
C19 0.8384 0.1038 0.0879
C20 0.8384 0.3962 0.5879
C21 0.8912 0.6059 0.0892
C22 0.8912 0.8941 0.5892
C23 0.9985 0.6994 0.7385
C24 0.9985 0.8006 0.2385
O1 0.0164 0.0552 0.3552
O2 0.0164 0.4448 0.8552
O3 0.0366 0.1775 0.4510
O4 0.0366 0.3225 0.9510
O5 0.0628 0.5579 0.3541
O6 0.0628 0.9421 0.8541
O7 0.0877 0.6722 0.4576
O8 0.0877 0.8278 0.9576
O9 0.1049 0.1535 0.7048
O10 0.1049 0.3465 0.2048
O11 0.1092 0.6659 0.6713
O12 0.1092 0.8341 0.1713
O13 0.3908 0.6659 0.1713
O14 0.3908 0.8341 0.6713
O15 0.3951 0.1535 0.2048
O16 0.3951 0.3465 0.7048
O17 0.4123 0.6722 0.9576
O18 0.4123 0.8278 0.4576
O19 0.4372 0.5579 0.8541
O20 0.4372 0.9421 0.3541
O21 0.4634 0.1775 0.9510
O22 0.4634 0.3225 0.4510
O23 0.4836 0.0552 0.8552
O24 0.4836 0.4448 0.3552
O25 0.5164 0.5552 0.6448
O26 0.5164 0.9448 0.1448
O27 0.5366 0.6775 0.5490
O28 0.5366 0.8225 0.0490
O29 0.5628 0.0579 0.6459
O30 0.5628 0.4421 0.1459
O31 0.5877 0.1722 0.5424
O32 0.5877 0.3278 0.0424
O33 0.6049 0.6535 0.2952
O34 0.6049 0.8465 0.7952
O35 0.6092 0.1659 0.3287
O36 0.6092 0.3341 0.8287
O37 0.8908 0.1659 0.8287
O38 0.8908 0.3341 0.3287
O39 0.8951 0.6535 0.7952
O40 0.8951 0.8465 0.2952
O41 0.9123 0.1722 0.0424
O42 0.9123 0.3278 0.5424
O43 0.9372 0.0579 0.1459
O44 0.9372 0.4421 0.6459
O45 0.9634 0.6775 0.0490
O46 0.9634 0.8225 0.5490
O47 0.9836 0.5552 0.1448
O48 0.9836 0.9448 0.6448



| no. | volume (Å³ per cell) |
| --- | --- |
| 1 | 193.6 |
| 2 | 377.7 |
| 3 | 114.4 |
| 4 | 463.7 |
| 5 | 546.7 |
| 6 | 1371.9 |